Here is an optimized crystal structure of Na2Li2Al3Si3ClO12 from Materials Project. Energies are from PBE-GGA.

Unit cell a=8.7412 b=8.7412 c=8.7523 alpha=90.00 beta=90.00 gamma=90.00
Closest atoms and distances in Å follow each position.
Atoms (fractional coordinates):
Na1 0.1621 0.6635 0.0846  3 O 2.34-2.36
Na2 0.3365 0.1621 0.9154  3 O 2.34-2.36
Na3 0.6635 0.8379 0.9154  3 O 2.34-2.36
Na4 0.8379 0.3365 0.0846  3 O 2.34-2.36
Li1 0.1869 0.3109 0.4379  3 O 2.03-2.08
Li2 0.3109 0.8131 0.5621  3 O 2.03-2.08
Li3 0.6891 0.1869 0.5621  3 O 2.03-2.08
Li4 0.8131 0.6891 0.4379  3 O 2.03-2.08
Al1 0.0000 0.0000 0.0000  4 O 1.75
Al2 0.0000 0.0000 0.5000  4 O 1.76
Al3 0.2500 0.4992 0.7437  4 O 1.73-1.78
Al4 0.4992 0.7500 0.2563  4 O 1.73-1.78
Al5 0.5008 0.2500 0.2563  4 O 1.73-1.78
Al6 0.7500 0.5008 0.7437  4 O 1.73-1.78
Si1 0.0018 0.2482 0.7441  4 O 1.62-1.67
Si2 0.2482 0.9982 0.2559  4 O 1.62-1.67
Si3 0.5000 0.5000 0.0000  4 O 1.65
Si4 0.5000 0.5000 0.5000  4 O 1.65
Si5 0.7518 0.0018 0.2559  4 O 1.62-1.67
Si6 0.9982 0.7518 0.7441  4 O 1.62-1.67
Cl1 0.0000 0.5000 0.2946  2 Li 2.64, 2 Na 2.73
Cl2 0.5000 0.0000 0.7054  2 Li 2.64, 2 Na 2.73
O1 0.0704 0.1479 0.8844  1 Si 1.62, 1 Al 1.75
O2 0.0836 0.8557 0.6123  1 Si 1.65, 1 Al 1.76
O3 0.1278 0.6360 0.8180  1 Si 1.65, 1 Al 1.73
O4 0.1443 0.0836 0.3877  1 Si 1.65, 1 Al 1.76
O5 0.1458 0.3444 0.6634  1 Si 1.67, 1 Al 1.78
O6 0.1479 0.9296 0.1156  1 Si 1.62, 1 Al 1.75
O7 0.3444 0.8542 0.3366  1 Si 1.67, 1 Al 1.78
O8 0.3596 0.4281 0.8961  1 Si 1.65, 1 Al 1.76
O9 0.3640 0.1278 0.1820  1 Si 1.65, 1 Al 1.73
O10 0.3660 0.5857 0.6024  1 Si 1.65, 1 Al 1.77
O11 0.4143 0.3660 0.3976  1 Si 1.65, 1 Al 1.77
O12 0.4281 0.6404 0.1039  1 Si 1.65, 1 Al 1.76
O13 0.5719 0.3596 0.1039  1 Si 1.65, 1 Al 1.76
O14 0.5857 0.6340 0.3976  1 Si 1.65, 1 Al 1.77
O15 0.6340 0.4143 0.6024  1 Si 1.65, 1 Al 1.77
O16 0.6360 0.8722 0.1820  1 Si 1.65, 1 Al 1.73
O17 0.6404 0.5719 0.8961  1 Si 1.65, 1 Al 1.76
O18 0.6556 0.1458 0.3366  1 Si 1.67, 1 Al 1.78
O19 0.8521 0.0704 0.1156  1 Si 1.62, 1 Al 1.75
O20 0.8542 0.6556 0.6634  1 Si 1.67, 1 Al 1.78
O21 0.8557 0.9164 0.3877  1 Si 1.65, 1 Al 1.76
O22 0.8722 0.3640 0.8180  1 Si 1.65, 1 Al 1.73
O23 0.9164 0.1443 0.6123  1 Si 1.65, 1 Al 1.76
O24 0.9296 0.8521 0.8844  1 Si 1.62, 1 Al 1.75

Electronic total energy in eV/atom: -6.85
Energy relative to the elements in meV per atom: -3072
M_tot in μB/atom: 0.000

=====

Here is an optimized crystal structure of CsSc3H6Se6O20 from Materials Project. Energies are from PBE-GGA.

Unit cell a=16.9804 b=13.4757 c=9.7413 alpha=90.00 beta=90.00 gamma=90.00
Closest atoms and distances in Å follow each position.
Atoms (fractional coordinates):
Cs1 0.2091 0.2500 0.0107  8 O 3.24-3.60, 2 H 3.49
Cs2 0.2909 0.7500 0.5107  8 O 3.24-3.60, 2 H 3.49
Cs3 0.7091 0.2500 0.4893  8 O 3.24-3.60, 2 H 3.49
Cs4 0.7909 0.7500 0.9893  8 O 3.24-3.60, 2 H 3.49
Sc1 0.0630 0.7500 0.9460  6 O 2.04-2.25
Sc2 0.1262 0.0002 0.3221  6 O 2.08-2.20
Sc3 0.1262 0.4998 0.3221  6 O 2.08-2.20
Sc4 0.3738 0.9998 0.8221  6 O 2.08-2.20
Sc5 0.3738 0.5002 0.8221  6 O 2.08-2.20
Sc6 0.4370 0.2500 0.4460  6 O 2.04-2.25
Sc7 0.5630 0.7500 0.5540  6 O 2.04-2.25
Sc8 0.6262 0.0002 0.1779  6 O 2.08-2.20
Sc9 0.6262 0.4998 0.1779  6 O 2.08-2.20
Sc10 0.8738 0.9998 0.6779  6 O 2.08-2.20
Sc11 0.8738 0.5002 0.6779  6 O 2.08-2.20
Sc12 0.9370 0.2500 0.0540  6 O 2.04-2.25
H1 0.0238 0.1007 0.9083  1 O 0.99
H2 0.0238 0.3993 0.9083  1 O 0.99
H3 0.0372 0.0854 0.0685  1 O 0.98
H4 0.0372 0.4146 0.0685  1 O 0.98
H5 0.1856 0.0380 0.8096  1 O 1.02
H6 0.1856 0.4620 0.8096  1 O 1.02
H7 0.3144 0.5380 0.3096  1 O 1.02
H8 0.3144 0.9620 0.3096  1 O 1.02
H9 0.4628 0.5854 0.5685  1 O 0.98
H10 0.4628 0.9146 0.5685  1 O 0.98
H11 0.4762 0.6007 0.4083  1 O 0.99
H12 0.4762 0.8993 0.4083  1 O 0.99
H13 0.5238 0.1007 0.5917  1 O 0.99
H14 0.5238 0.3993 0.5917  1 O 0.99
H15 0.5372 0.0854 0.4315  1 O 0.98
H16 0.5372 0.4146 0.4315  1 O 0.98
H17 0.6856 0.0380 0.6904  1 O 1.02
H18 0.6856 0.4620 0.6904  1 O 1.02
H19 0.8144 0.5380 0.1904  1 O 1.02
H20 0.8144 0.9620 0.1904  1 O 1.02
H21 0.9628 0.5854 0.9315  1 O 0.98
H22 0.9628 0.9146 0.9315  1 O 0.98
H23 0.9762 0.6007 0.0917  1 O 0.99
H24 0.9762 0.8993 0.0917  1 O 0.99
Se1 0.0698 0.2500 0.3447  3 O 1.72-1.73
Se2 0.0759 0.7500 0.3237  3 O 1.72-1.73
Se3 0.0816 0.5106 0.6683  3 O 1.70-1.79
Se4 0.0816 0.9894 0.6683  3 O 1.70-1.79
Se5 0.2150 0.5937 0.0136  3 O 1.71-1.74
Se6 0.2150 0.9063 0.0136  3 O 1.71-1.74
Se7 0.2850 0.0937 0.5136  3 O 1.71-1.74
Se8 0.2850 0.4063 0.5136  3 O 1.71-1.74
Se9 0.4184 0.0106 0.1683  3 O 1.70-1.79
Se10 0.4184 0.4894 0.1683  3 O 1.70-1.79
Se11 0.4241 0.2500 0.8237  3 O 1.72-1.73
Se12 0.4302 0.7500 0.8447  3 O 1.72-1.73
Se13 0.5698 0.2500 0.1553  3 O 1.72-1.73
Se14 0.5759 0.7500 0.1763  3 O 1.72-1.73
Se15 0.5816 0.5106 0.8317  3 O 1.70-1.79
Se16 0.5816 0.9894 0.8317  3 O 1.70-1.79
Se17 0.7150 0.5937 0.4864  3 O 1.71-1.74
Se18 0.7150 0.9063 0.4864  3 O 1.71-1.74
Se19 0.7850 0.0937 0.9864  3 O 1.71-1.74
Se20 0.7850 0.4063 0.9864  3 O 1.71-1.74
Se21 0.9184 0.0106 0.3317  3 O 1.70-1.79
Se22 0.9184 0.4894 0.3317  3 O 1.70-1.79
Se23 0.9241 0.2500 0.6763  3 O 1.72-1.73
Se24 0.9302 0.7500 0.6553  3 O 1.72-1.73
O1 0.0050 0.5248 0.2516  1 Se 1.73, 1 H 1.93
O2 0.0050 0.9752 0.2516  1 Se 1.73, 1 H 1.93
O3 0.0159 0.7500 0.7523  1 Se 1.73
O4 0.0285 0.1360 0.9973  2 H 0.98-0.99
O5 0.0285 0.3640 0.9973  2 H 0.98-0.99
O6 0.0790 0.0484 0.5138  1 Se 1.70
O7 0.0790 0.4516 0.5138  1 Se 1.70
O8 0.0936 0.7500 0.1490  1 Se 1.73
O9 0.1211 0.1526 0.2731  1 Se 1.72
O10 0.1211 0.3474 0.2731  1 Se 1.72
O11 0.1334 0.6516 0.3760  1 Se 1.72
O12 0.1334 0.8484 0.3760  1 Se 1.72
O13 0.1408 0.6349 0.9061  1 Se 1.73
O14 0.1408 0.8651 0.9061  1 Se 1.73
O15 0.1454 0.0763 0.7525  1 H 1.02
O16 0.1454 0.4237 0.7525  1 H 1.02
O17 0.1659 0.5147 0.1217  1 Se 1.71
O18 0.1659 0.9853 0.1217  1 Se 1.71
O19 0.2430 0.0071 0.4028  1 H 1.63, 1 Se 1.74
O20 0.2430 0.4929 0.4028  1 H 1.63, 1 Se 1.74
O21 0.2570 0.5071 0.9028  1 H 1.63, 1 Se 1.74
O22 0.2570 0.9929 0.9028  1 H 1.63, 1 Se 1.74
O23 0.3341 0.0147 0.6217  1 Se 1.71
O24 0.3341 0.4853 0.6217  1 Se 1.71
O25 0.3546 0.5763 0.2525  1 H 1.02
O26 0.3546 0.9237 0.2525  1 H 1.02
O27 0.3592 0.1349 0.4061  1 Se 1.73
O28 0.3592 0.3651 0.4061  1 Se 1.73
O29 0.3666 0.1516 0.8760  1 Se 1.72
O30 0.3666 0.3484 0.8760  1 Se 1.72
O31 0.3789 0.6526 0.7731  1 Se 1.72
O32 0.3789 0.8474 0.7731  1 Se 1.72
O33 0.4064 0.2500 0.6490  1 Se 1.73
O34 0.4210 0.5484 0.0138  1 Se 1.70
O35 0.4210 0.9516 0.0138  1 Se 1.70
O36 0.4715 0.6360 0.4973  2 H 0.98-0.99
O37 0.4715 0.8640 0.4973  2 H 0.98-0.99
O38 0.4841 0.2500 0.2523  1 Se 1.73
O39 0.4950 0.0248 0.7516  1 Se 1.73, 1 H 1.93
O40 0.4950 0.4752 0.7516  1 Se 1.73, 1 H 1.93
O41 0.5050 0.5248 0.2484  1 Se 1.73, 1 H 1.93
O42 0.5050 0.9752 0.2484  1 Se 1.73, 1 H 1.93
O43 0.5159 0.7500 0.7477  1 Se 1.73
O44 0.5285 0.1360 0.5027  2 H 0.98-0.99
O45 0.5285 0.3640 0.5027  2 H 0.98-0.99
O46 0.5790 0.0484 0.9862  1 Se 1.70
O47 0.5790 0.4516 0.9862  1 Se 1.70
O48 0.5936 0.7500 0.3510  1 Se 1.73
O49 0.6211 0.1526 0.2269  1 Se 1.72
O50 0.6211 0.3474 0.2269  1 Se 1.72
O51 0.6334 0.6516 0.1240  1 Se 1.72
O52 0.6334 0.8484 0.1240  1 Se 1.72
O53 0.6408 0.6349 0.5939  1 Se 1.73
O54 0.6408 0.8651 0.5939  1 Se 1.73
O55 0.6454 0.0763 0.7475  1 H 1.02
O56 0.6454 0.4237 0.7475  1 H 1.02
O57 0.6659 0.5147 0.3783  1 Se 1.71
O58 0.6659 0.9853 0.3783  1 Se 1.71
O59 0.7430 0.0071 0.0972  1 H 1.63, 1 Se 1.74
O60 0.7430 0.4929 0.0972  1 H 1.63, 1 Se 1.74
O61 0.7570 0.5071 0.5972  1 H 1.63, 1 Se 1.74
O62 0.7570 0.9929 0.5972  1 H 1.63, 1 Se 1.74
O63 0.8341 0.0147 0.8783  1 Se 1.71
O64 0.8341 0.4853 0.8783  1 Se 1.71
O65 0.8546 0.5763 0.2475  1 H 1.02
O66 0.8546 0.9237 0.2475  1 H 1.02
O67 0.8592 0.1349 0.0939  1 Se 1.73
O68 0.8592 0.3651 0.0939  1 Se 1.73
O69 0.8666 0.1516 0.6240  1 Se 1.72
O70 0.8666 0.3484 0.6240  1 Se 1.72
O71 0.8789 0.6526 0.7269  1 Se 1.72
O72 0.8789 0.8474 0.7269  1 Se 1.72
O73 0.9064 0.2500 0.8510  1 Se 1.73
O74 0.9210 0.5484 0.4862  1 Se 1.70
O75 0.9210 0.9516 0.4862  1 Se 1.70
O76 0.9715 0.6360 0.0027  2 H 0.98-0.99
O77 0.9715 0.8640 0.0027  2 H 0.98-0.99
O78 0.9841 0.2500 0.2477  1 Se 1.73
O79 0.9950 0.0248 0.7484  1 Se 1.73, 1 H 1.93
O80 0.9950 0.4752 0.7484  1 Se 1.73, 1 H 1.93

Electronic total energy in eV/atom: -5.97
Energy relative to the elements in meV per atom: -1901
M_tot in μB/atom: 0.000

=====

Here is an optimized crystal structure of MgMoW2Se4S2 from Materials Project. Energies are from PBE-GGA.

Unit cell a=3.2701 b=3.2701 c=30.2379 alpha=90.00 beta=90.00 gamma=60.00
Closest atoms and distances in Å follow each position.
Atoms (fractional coordinates):
Mg1 0.0000 0.0000 0.0000  6 Mg 3.27
Mo1 0.3042 0.4290 0.2646  6 Se 2.54
W1 0.3042 0.4290 0.7273  6 Se 2.54
W2 0.9709 0.0957 0.4959  6 S 2.44
Se1 0.9709 0.0957 0.2086  3 Mo 2.54
Se2 0.9709 0.0957 0.3206  3 Mo 2.54
Se3 0.9709 0.0957 0.6710  3 W 2.54
Se4 0.9709 0.0957 0.7836  3 W 2.54
S1 0.3042 0.4290 0.4449  3 W 2.44
S2 0.3042 0.4290 0.5470  3 W 2.44

Electronic total energy in eV/atom: -6.60
Energy relative to the elements in meV per atom: -637
Energy relative to the lowest polymorph listed for this composition in meV/atom: 30.9
M_tot in μB/atom: 0.001